Entry 1:
Below is a geometry-optimized LiCaBO3 structure, with properties calculated at the PBE level.

Results
Space group: No. 61
Calculated formation energy, eV per formula unit: -18.07
Spin magnetization, Bohr magnetons per cell: 0.00

a b c (Å): 6.1273 13.3448 6.2375
angles (deg): 90.00 90.00 90.00
With the nearest neighbours (Å) after each atom.
Fractional coordinates of all 48 atoms:
Li1 0.0156 0.2480 0.2091  5 O 2.03-2.25
Li2 0.0156 0.2520 0.7091  5 O 2.03-2.25
Li3 0.4844 0.7480 0.2091  5 O 2.03-2.25
Li4 0.4844 0.7520 0.7091  5 O 2.03-2.25
Li5 0.5156 0.2480 0.2909  5 O 2.03-2.25
Li6 0.5156 0.2520 0.7909  5 O 2.03-2.25
Li7 0.9844 0.7480 0.2909  5 O 2.03-2.25
Li8 0.9844 0.7520 0.7909  5 O 2.03-2.25
Ca1 0.2489 0.5703 0.4904  7 O 2.39-2.53
Ca2 0.2489 0.9297 0.9904  7 O 2.39-2.53
Ca3 0.2511 0.0703 0.4904  7 O 2.39-2.53
Ca4 0.2511 0.4297 0.9904  7 O 2.39-2.53
Ca5 0.7489 0.5703 0.0096  7 O 2.39-2.53
Ca6 0.7489 0.9297 0.5096  7 O 2.39-2.53
Ca7 0.7511 0.0703 0.0096  7 O 2.39-2.53
Ca8 0.7511 0.4297 0.5096  7 O 2.39-2.53
B1 0.2501 0.1478 0.9825  3 O 1.38-1.40
B2 0.2501 0.3522 0.4825  3 O 1.38-1.40
B3 0.2499 0.6478 0.9825  3 O 1.38-1.40
B4 0.2499 0.8522 0.4825  3 O 1.38-1.40
B5 0.7501 0.1478 0.5175  3 O 1.38-1.40
B6 0.7501 0.3522 0.0175  3 O 1.38-1.40
B7 0.7499 0.6478 0.5175  3 O 1.38-1.40
B8 0.7499 0.8522 0.0175  3 O 1.38-1.40
O1 0.1017 0.5952 0.8557  1 B 1.39
O2 0.1017 0.9048 0.3557  1 B 1.39
O3 0.1181 0.0952 0.1262  1 B 1.40
O4 0.1181 0.4048 0.6262  1 B 1.40
O5 0.2337 0.2491 0.4652  1 B 1.38
O6 0.2337 0.2509 0.9652  1 B 1.38
O7 0.2663 0.7491 0.4652  1 B 1.38
O8 0.2663 0.7509 0.9652  1 B 1.38
O9 0.3819 0.5952 0.1262  1 B 1.40
O10 0.3819 0.9048 0.6262  1 B 1.40
O11 0.3983 0.0952 0.8557  1 B 1.39
O12 0.3983 0.4048 0.3557  1 B 1.39
O13 0.6017 0.5952 0.6443  1 B 1.39
O14 0.6017 0.9048 0.1443  1 B 1.39
O15 0.6181 0.0952 0.3738  1 B 1.40
O16 0.6181 0.4048 0.8738  1 B 1.40
O17 0.7337 0.2491 0.0348  1 B 1.38
O18 0.7337 0.2509 0.5348  1 B 1.38
O19 0.7663 0.7491 0.0348  1 B 1.38
O20 0.7663 0.7509 0.5348  1 B 1.38
O21 0.8819 0.5952 0.3738  1 B 1.40
O22 0.8819 0.9048 0.8738  1 B 1.40
O23 0.8983 0.0952 0.6443  1 B 1.39
O24 0.8983 0.4048 0.1443  1 B 1.39

Entry 2:
Below is a geometry-optimized Fe3B structure, with properties calculated at the PBE level.

Results
Space group: No. 182
Calculated formation energy, eV per formula unit: 0.12
Spin magnetization, Bohr magnetons per cell: 11.82

a b c (Å): 4.7330 4.7330 4.3566
angles (deg): 90.00 90.00 120.00
With the nearest neighbours (Å) after each atom.
Fractional coordinates of all 8 atoms:
Fe1 0.0000 0.3063 0.0000  2 B 1.97
Fe2 0.0000 0.6937 0.5000  2 B 1.97
Fe3 0.3063 0.0000 0.0000  2 B 1.97
Fe4 0.3063 0.3063 0.5000  2 B 1.97
Fe5 0.6937 0.0000 0.5000  2 B 1.97
Fe6 0.6937 0.6937 0.0000  2 B 1.97
B1 0.3333 0.6667 0.7500  6 Fe 1.97
B2 0.6667 0.3333 0.2500  6 Fe 1.97

Entry 3:
Below is a geometry-optimized Hg7Cl2O3 structure, with properties calculated at the PBE level.

Results
Space group: No. 57
Calculated formation energy, eV per formula unit: -6.14

a b c (Å): 6.6368 11.9707 14.8602
angles (deg): 90.00 90.00 90.00
With the nearest neighbours (Å) after each atom.
Fractional coordinates of all 48 atoms:
Hg1 0.0000 0.0000 0.0000  2 O 2.07
Hg2 0.0000 0.0000 0.5000  2 O 2.07
Hg3 0.0000 0.5000 0.0000  2 O 2.07
Hg4 0.0000 0.5000 0.5000  2 O 2.07
Hg5 0.1340 0.0362 0.2500  1 O 2.13
Hg6 0.1340 0.4638 0.7500  1 O 2.13
Hg7 0.1619 0.2454 0.7500  1 O 2.38, 1 Cl 2.52, 1 Hg 2.62
Hg8 0.1619 0.2546 0.2500  1 O 2.38, 1 Cl 2.52, 1 Hg 2.62
Hg9 0.3191 0.7099 0.6298  2 O 2.28-2.45
Hg10 0.3191 0.7099 0.8702  2 O 2.28-2.45
Hg11 0.3191 0.7901 0.1298  2 O 2.28-2.45
Hg12 0.3191 0.7901 0.3702  2 O 2.28-2.45
Hg13 0.4678 0.1164 0.0793  1 O 2.18
Hg14 0.4678 0.1164 0.4207  1 O 2.18
Hg15 0.4678 0.3836 0.5793  1 O 2.18
Hg16 0.4678 0.3836 0.9207  1 O 2.18
Hg17 0.5322 0.6164 0.0793  1 O 2.18
Hg18 0.5322 0.6164 0.4207  1 O 2.18
Hg19 0.5322 0.8836 0.5793  1 O 2.18
Hg20 0.5322 0.8836 0.9207  1 O 2.18
Hg21 0.6809 0.2099 0.6298  2 O 2.28-2.45
Hg22 0.6809 0.2099 0.8702  2 O 2.28-2.45
Hg23 0.6809 0.2901 0.1298  2 O 2.28-2.45
Hg24 0.6809 0.2901 0.3702  2 O 2.28-2.45
Hg25 0.8381 0.7454 0.7500  1 O 2.38, 1 Cl 2.52, 1 Hg 2.62
Hg26 0.8381 0.7546 0.2500  1 O 2.38, 1 Cl 2.52, 1 Hg 2.62
Hg27 0.8660 0.5362 0.2500  1 O 2.13
Hg28 0.8660 0.9638 0.7500  1 O 2.13
Cl1 0.0752 0.2500 0.0000  6 Hg 3.03-3.29
Cl2 0.0752 0.2500 0.5000  6 Hg 3.03-3.29
Cl3 0.3332 0.0572 0.7500  1 Hg 2.52
Cl4 0.3332 0.4428 0.2500  1 Hg 2.52
Cl5 0.6668 0.5572 0.7500  1 Hg 2.52
Cl6 0.6668 0.9428 0.2500  1 Hg 2.52
Cl7 0.9248 0.7500 0.0000  6 Hg 3.03-3.29
Cl8 0.9248 0.7500 0.5000  6 Hg 3.03-3.29
O1 0.1443 0.6416 0.7500  4 Hg 2.13-2.38
O2 0.1443 0.8584 0.2500  4 Hg 2.13-2.38
O3 0.2837 0.5304 0.5527  2 Hg 2.07-2.18
O4 0.2837 0.5304 0.9473  2 Hg 2.07-2.18
O5 0.2837 0.9696 0.0527  2 Hg 2.07-2.18
O6 0.2837 0.9696 0.4473  2 Hg 2.07-2.18
O7 0.7163 0.0304 0.5527  2 Hg 2.07-2.18
O8 0.7163 0.0304 0.9473  2 Hg 2.07-2.18
O9 0.7163 0.4696 0.0527  2 Hg 2.07-2.18
O10 0.7163 0.4696 0.4473  2 Hg 2.07-2.18
O11 0.8557 0.1416 0.7500  4 Hg 2.13-2.38
O12 0.8557 0.3584 0.2500  4 Hg 2.13-2.38

Entry 4:
Below is a geometry-optimized Mg16Al12Hg structure, with properties calculated at the PBE level.

Results
Space group: No. 160
Calculated formation energy, eV per formula unit: -0.75
Spin magnetization, Bohr magnetons per cell: 0.00

a b c (Å): 9.1001 9.1001 9.1001
angles (deg): 109.04 109.04 109.04
With the nearest neighbours (Å) after each atom.
Fractional coordinates of all 29 atoms:
Mg1 0.0000 0.0000 0.0000  1 Hg 3.07, 3 Mg 3.16, 12 Al 3.20-3.24
Mg2 0.0045 0.0045 0.3502  4 Mg 3.05-3.16, 6 Al 3.07-3.12
Mg3 0.0045 0.3502 0.0045  4 Mg 3.05-3.16, 6 Al 3.07-3.12
Mg4 0.0061 0.3254 0.6044  5 Al 2.88-3.17, 5 Mg 3.07-3.21
Mg5 0.0061 0.6044 0.3254  5 Al 2.88-3.17, 5 Mg 3.07-3.21
Mg6 0.2941 0.6912 0.6912  5 Al 2.99-3.14, 7 Mg 3.05-3.16
Mg7 0.3254 0.0061 0.6044  5 Al 2.88-3.17, 5 Mg 3.07-3.21
Mg8 0.3254 0.6044 0.0061  5 Al 2.88-3.17, 5 Mg 3.07-3.21
Mg9 0.3502 0.0045 0.0045  4 Mg 3.05-3.16, 6 Al 3.07-3.12
Mg10 0.4089 0.4089 0.7110  5 Al 2.97-3.25, 1 Hg 2.98, 6 Mg 3.11-3.21
Mg11 0.4089 0.7110 0.4089  5 Al 2.97-3.25, 1 Hg 2.98, 6 Mg 3.11-3.21
Mg12 0.6044 0.0061 0.3254  5 Al 2.88-3.17, 5 Mg 3.07-3.21
Mg13 0.6044 0.3254 0.0061  5 Al 2.88-3.17, 5 Mg 3.07-3.21
Mg14 0.6912 0.2941 0.6912  5 Al 2.99-3.14, 7 Mg 3.05-3.16
Mg15 0.6912 0.6912 0.2941  5 Al 2.99-3.14, 7 Mg 3.05-3.16
Mg16 0.7110 0.4089 0.4089  5 Al 2.97-3.25, 1 Hg 2.98, 6 Mg 3.11-3.21
Al1 0.0128 0.6407 0.8251  3 Al 2.73-2.78, 3 Mg 2.88-3.02
Al2 0.0128 0.8251 0.6407  3 Al 2.73-2.78, 3 Mg 2.88-3.02
Al3 0.1765 0.3640 0.3640  3 Al 2.69-2.78, 3 Mg 2.98-2.99
Al4 0.1906 0.1906 0.8184  3 Al 2.69-2.75, 3 Mg 2.97-2.98
Al5 0.1906 0.8184 0.1906  3 Al 2.69-2.75, 3 Mg 2.97-2.98
Al6 0.3640 0.1765 0.3640  3 Al 2.69-2.78, 3 Mg 2.98-2.99
Al7 0.3640 0.3640 0.1765  3 Al 2.69-2.78, 3 Mg 2.98-2.99
Al8 0.6407 0.0128 0.8251  3 Al 2.73-2.78, 3 Mg 2.88-3.02
Al9 0.6407 0.8251 0.0128  3 Al 2.73-2.78, 3 Mg 2.88-3.02
Al10 0.8184 0.1906 0.1906  3 Al 2.69-2.75, 3 Mg 2.97-2.98
Al11 0.8251 0.0128 0.6407  3 Al 2.73-2.78, 3 Mg 2.88-3.02
Al12 0.8251 0.6407 0.0128  3 Al 2.73-2.78, 3 Mg 2.88-3.02
Hg1 0.6699 0.6699 0.6699  4 Mg 2.98-3.07, 6 Al 3.12